## w
Entry from Materials Project: an optimized crystal structure of BaMg14C (PBE).

Cell and atoms, written as extended XYZ:
```
16
Lattice="6.489 0.000 0.000 -3.244 5.619 0.000 0.000 0.000 10.344" Properties=species:S:1:pos:R:3 pbc="T T T"
Ba 0.000 0.000 0.000
Mg -1.554 2.849 0.000
Mg 0.000 1.791 2.961
Mg 0.000 1.791 7.383
Mg -1.693 4.724 2.961
Mg -1.693 4.724 7.383
Mg 1.554 2.849 0.000
Mg 0.000 5.541 0.000
Mg 3.244 0.105 5.172
Mg 1.713 2.757 5.172
Mg 3.244 1.873 2.481
Mg 3.244 1.873 7.863
Mg 1.693 4.724 2.961
Mg 1.693 4.724 7.383
Mg 4.775 2.757 5.172
C 0.000 0.000 5.172
```

Space-group type = P-6m2 (187)
Crystal system = hexagonal



## x
Entry from Materials Project: an optimized crystal structure of BaMg14C (PBE).

Cell and atoms, written as extended XYZ:
```
16
Lattice="10.324 0.000 0.000 0.000 3.055 6.030 0.000 -3.055 6.030" Properties=species:S:1:pos:R:3 pbc="T T T"
Ba 0.000 0.000 0.000
Mg 0.000 -1.415 3.160
Mg 0.000 1.415 3.160
Mg 2.143 0.000 7.515
Mg 2.669 -1.481 4.645
Mg 2.669 1.481 4.645
Mg 2.791 0.000 1.760
Mg 5.162 0.000 5.849
Mg 5.162 -1.497 8.802
Mg 5.162 1.497 8.802
Mg 5.162 0.000 11.762
Mg 7.533 0.000 1.760
Mg 7.655 -1.481 4.645
Mg 7.655 1.481 4.645
Mg 8.181 0.000 7.515
C 0.000 0.000 4.918
```

Space-group type = Amm2 (38)
Crystal system = orthorhombic



It turns out x is the most stable, with the second structure 104 meV per atom higher.



## w
Entry from Materials Project: an optimized crystal structure of Ba3Ca (PBE).

Cell and atoms, written as extended XYZ:
```
4
Lattice="6.192 0.000 0.000 0.000 6.192 0.000 0.000 0.000 6.192" Properties=species:S:1:pos:R:3 pbc="T T T"
Ba 0.000 0.000 3.096
Ba 0.000 3.096 0.000
Ba 3.096 0.000 0.000
Ca 3.096 3.096 3.096
```

Space-group type = Pm-3m (221)
Crystal system = cubic



## x
Entry from Materials Project: an optimized crystal structure of Ba3Ca (PBE).

Cell and atoms, written as extended XYZ:
```
8
Lattice="8.688 0.000 0.000 -4.344 7.524 0.000 0.000 0.000 7.061" Properties=species:S:1:pos:R:3 pbc="T T T"
Ba 0.000 2.525 1.765
Ba -2.157 6.261 1.765
Ba 2.187 1.263 5.296
Ba 2.157 6.261 1.765
Ba 6.501 1.263 5.296
Ba 4.344 4.999 5.296
Ca 0.000 5.016 5.296
Ca 4.344 2.508 1.765
```

Space-group type = P6_3/mmc (194)
Crystal system = hexagonal



It turns out x is the most stable, with the second structure 11 meV per atom higher.



## w
Entry from Materials Project: an optimized crystal structure of BaCaCeHfO6 (PBE).

Cell and atoms, written as extended XYZ:
```
20
Lattice="5.949 0.000 0.000 0.002 6.011 0.000 0.047 0.044 8.497" Properties=species:S:1:pos:R:3 pbc="T T T"
Ba 0.048 0.188 2.123
Ba 5.950 5.866 6.374
Ca 2.946 3.233 2.101
Ca 3.053 2.822 6.396
Ce 0.001 3.005 0.000
Ce 2.998 0.022 4.249
Hf 0.024 3.027 4.249
Hf 2.975 0.000 0.000
O 0.648 3.017 6.282
O 1.231 4.705 3.974
O 1.309 4.792 0.229
O 1.712 1.851 3.734
O 1.843 1.736 0.487
O 2.643 0.408 6.461
O 3.355 5.647 2.037
O 4.155 4.318 8.010
O 4.286 4.204 4.763
O 4.689 1.263 8.268
O 4.767 1.349 4.523
O 5.350 3.038 2.215
```

Space-group type = P-1 (2)
Crystal system = triclinic



## x
Entry from Materials Project: an optimized crystal structure of BaCaCeHfO6 (PBE).

Cell and atoms, written as extended XYZ:
```
10
Lattice="0.000 4.299 4.299 4.299 0.000 4.299 4.299 4.299 0.000" Properties=species:S:1:pos:R:3 pbc="T T T"
Ba 0.000 0.000 0.000
Ca 4.299 4.299 4.299
Ce 6.448 6.448 6.448
Hf 2.149 2.149 2.149
O 2.149 2.149 0.074
O 2.149 0.074 2.149
O 4.225 2.149 2.149
O 0.074 2.149 2.149
O 2.149 4.225 2.149
O 2.149 2.149 4.225
```

Space-group type = F-43m (216)
Crystal system = cubic



It turns out w is the most stable, with the second structure 94 meV per atom higher.



## w
Entry from Materials Project: an optimized crystal structure of Ba2CaTl2Cu4O12 (PBE).

Cell and atoms, written as extended XYZ:
```
21
Lattice="-1.844 1.844 22.762 1.844 -1.844 22.762 1.844 1.844 -22.762" Properties=species:S:1:pos:R:3 pbc="T T T"
Ba 0.000 0.000 7.122
Ba 0.000 0.000 38.402
Ca 0.000 0.000 0.000
Tl 0.000 0.000 12.592
Tl 0.000 0.000 32.932
Cu 0.000 0.000 18.008
Cu 0.000 0.000 20.810
Cu 0.000 0.000 24.714
Cu 0.000 0.000 27.516
O 1.844 0.000 1.536
O 1.844 0.000 5.165
O 0.000 0.000 10.475
O 0.000 0.000 14.622
O 1.844 0.000 17.597
O 1.844 0.000 21.226
O 0.000 1.844 1.536
O 0.000 1.844 5.165
O 0.000 0.000 30.902
O 0.000 0.000 35.049
O 0.000 1.844 17.597
O 0.000 1.844 21.226
```

Space-group type = I4/mmm (139)
Crystal system = tetragonal



## x
Entry from Materials Project: an optimized crystal structure of Ba2CaTl2Cu4O12 (PBE).

Cell and atoms, written as extended XYZ:
```
21
Lattice="-1.881 1.881 22.780 1.881 -1.881 22.780 1.881 1.881 -22.780" Properties=species:S:1:pos:R:3 pbc="T T T"
Ba 0.000 0.000 7.048
Ba 0.000 0.000 38.512
Ca 0.000 0.000 0.000
Tl 0.000 0.000 12.618
Tl 0.000 0.000 32.943
Cu 0.000 0.000 18.038
Cu 0.000 0.000 20.868
Cu 0.000 0.000 24.692
Cu 0.000 0.000 27.523
O 1.881 0.000 1.515
O 1.881 0.000 5.129
O 1.881 0.000 11.390
O 0.000 0.000 14.708
O 1.881 0.000 17.651
O 1.881 0.000 21.265
O 0.000 1.881 1.515
O 0.000 1.881 5.129
O 0.000 0.000 30.853
O 0.000 1.881 11.390
O 0.000 1.881 17.651
O 0.000 1.881 21.265
```

Space-group type = I4/mmm (139)
Crystal system = tetragonal



It turns out w is the most stable, with the second structure 40 meV per atom higher.



## w
Entry from Materials Project: an optimized crystal structure of BaCaEuSbO6 (PBE).

Cell and atoms, written as extended XYZ:
```
40
Lattice="8.420 0.000 0.000 0.000 8.427 0.000 0.000 0.000 8.464" Properties=species:S:1:pos:R:3 pbc="T T T"
Ba 0.000 0.000 0.000
Ba 0.000 0.000 4.232
Ba 4.210 0.000 0.000
Ba 4.210 4.213 4.232
Ca 0.000 4.213 0.000
Ca 0.000 4.213 4.232
Ca 4.210 0.000 4.232
Ca 4.210 4.213 0.000
Eu 2.108 2.143 2.120
Eu 2.108 6.283 6.343
Eu 6.311 2.143 6.343
Eu 6.311 6.283 2.120
Sb 2.099 2.153 6.342
Sb 2.099 6.274 2.121
Sb 6.320 2.153 2.121
Sb 6.320 6.274 6.342
O 0.131 1.865 6.099
O 0.131 6.561 2.365
O 1.729 2.490 8.311
O 1.729 5.937 0.152
O 1.740 4.075 5.891
O 1.740 4.352 2.573
O 2.320 0.161 6.618
O 2.320 8.266 1.846
O 2.535 1.765 4.394
O 2.535 6.662 4.070
O 4.044 2.540 6.734
O 4.044 5.887 1.729
O 4.375 2.540 1.729
O 4.375 5.887 6.734
O 5.884 1.765 4.070
O 5.884 6.662 4.394
O 6.099 0.161 1.846
O 6.099 8.266 6.618
O 6.680 4.075 2.573
O 6.680 4.352 5.891
O 6.690 2.490 0.152
O 6.690 5.937 8.311
O 8.288 1.865 2.365
O 8.288 6.561 6.099
```

Space-group type = P222 (16)
Crystal system = orthorhombic



## x
Entry from Materials Project: an optimized crystal structure of BaCaEuSbO6 (PBE).

Cell and atoms, written as extended XYZ:
```
10
Lattice="0.000 4.258 4.258 4.258 0.000 4.258 4.258 4.258 0.000" Properties=species:S:1:pos:R:3 pbc="T T T"
Ba 0.000 0.000 0.000
Ca 4.258 4.258 4.258
Eu 6.386 6.386 6.386
Sb 2.129 2.129 2.129
O 2.129 2.129 0.130
O 2.129 0.130 2.129
O 4.128 2.129 2.129
O 0.130 2.129 2.129
O 2.129 4.128 2.129
O 2.129 2.129 4.128
```

Space-group type = F-43m (216)
Crystal system = cubic



It turns out w is the most stable, with the second structure 74 meV per atom higher.



## w
Entry from Materials Project: an optimized crystal structure of BaCaEuSbO6 (PBE).

Cell and atoms, written as extended XYZ:
```
40
Lattice="8.408 0.000 0.000 0.000 8.452 0.000 0.000 0.000 8.473" Properties=species:S:1:pos:R:3 pbc="T T T"
Ba 2.102 2.113 2.118
Ba 2.102 6.339 6.354
Ba 6.306 2.113 2.118
Ba 6.306 6.339 6.354
Ca 0.000 0.000 0.000
Ca 0.000 4.226 4.236
Ca 4.204 0.000 4.236
Ca 4.204 4.226 0.000
Eu 2.102 2.113 6.354
Eu 2.102 6.339 2.118
Eu 6.306 2.113 6.354
Eu 6.306 6.339 2.118
Sb 0.000 0.000 4.236
Sb 0.000 4.226 0.000
Sb 4.204 0.000 0.000
Sb 4.204 4.226 4.236
O 0.259 1.975 4.053
O 0.259 2.251 0.184
O 0.456 0.287 6.203
O 0.456 3.939 6.505
O 1.952 4.577 0.448
O 1.952 8.101 3.788
O 2.252 4.577 3.788
O 2.252 8.101 0.448
O 3.748 0.287 6.505
O 3.748 3.939 6.203
O 3.945 1.975 0.184
O 3.945 2.251 4.053
O 4.463 6.201 4.420
O 4.463 6.476 8.289
O 4.660 4.512 2.269
O 4.660 8.165 1.967
O 6.155 0.351 8.025
O 6.155 3.875 4.684
O 6.456 0.351 4.684
O 6.456 3.875 8.025
O 7.952 4.512 1.967
O 7.952 8.165 2.269
O 8.149 6.201 8.289
O 8.149 6.476 4.420
```

Space-group type = Pnnn (48)
Crystal system = orthorhombic



## x
Entry from Materials Project: an optimized crystal structure of BaCaEuSbO6 (PBE).

Cell and atoms, written as extended XYZ:
```
10
Lattice="0.000 4.226 4.226 4.226 0.000 4.226 4.226 4.226 0.000" Properties=species:S:1:pos:R:3 pbc="T T T"
Ba 0.000 0.000 0.000
Ca 6.340 6.340 6.340
Eu 4.226 4.226 4.226
Sb 2.113 2.113 2.113
O 2.113 2.113 0.127
O 2.113 0.127 2.113
O 4.099 2.113 2.113
O 0.127 2.113 2.113
O 2.113 4.099 2.113
O 2.113 2.113 4.099
```

Space-group type = F-43m (216)
Crystal system = cubic



It turns out w is the most stable, with the second structure 84 meV per atom higher.



## w
Entry from Materials Project: an optimized crystal structure of BaCaGdNbO6 (PBE).

Cell and atoms, written as extended XYZ:
```
10
Lattice="0.000 4.265 4.265 4.265 0.000 4.265 4.265 4.265 0.000" Properties=species:S:1:pos:R:3 pbc="T T T"
Ba 0.000 0.000 0.000
Ca 4.265 4.265 4.265
Gd 6.398 6.398 6.398
Nb 2.133 2.133 2.133
O 2.133 2.133 0.121
O 2.133 0.121 2.133
O 4.145 2.133 2.133
O 0.121 2.133 2.133
O 2.133 4.145 2.133
O 2.133 2.133 4.145
```

Space-group type = F-43m (216)
Crystal system = cubic



## x
Entry from Materials Project: an optimized crystal structure of BaCaGdNbO6 (PBE).

Cell and atoms, written as extended XYZ:
```
40
Lattice="8.393 0.000 0.000 0.000 8.409 0.000 0.000 0.000 8.440" Properties=species:S:1:pos:R:3 pbc="T T T"
Ba 0.000 0.000 0.000
Ba 0.000 0.000 4.220
Ba 0.000 4.205 0.000
Ba 4.196 4.205 4.220
Ca 0.000 4.205 4.220
Ca 4.196 0.000 0.000
Ca 4.196 0.000 4.220
Ca 4.196 4.205 0.000
Gd 2.148 2.123 2.114
Gd 2.148 6.286 6.326
Gd 6.244 2.123 6.326
Gd 6.244 6.286 2.114
Nb 2.155 2.090 6.315
Nb 2.155 6.319 2.125
Nb 6.238 2.090 2.125
Nb 6.238 6.319 6.315
O 0.145 2.290 6.587
O 0.145 6.119 1.853
O 1.767 2.557 4.365
O 1.767 5.852 4.076
O 1.887 0.115 6.090
O 1.887 8.294 2.350
O 2.492 1.742 8.311
O 2.492 6.667 0.130
O 2.542 4.047 6.736
O 2.542 4.362 1.705
O 4.069 1.748 5.822
O 4.069 6.661 2.619
O 4.323 1.748 2.619
O 4.323 6.661 5.822
O 5.851 4.047 1.705
O 5.851 4.362 6.736
O 5.900 1.742 0.130
O 5.900 6.667 8.311
O 6.505 0.115 2.350
O 6.505 8.294 6.090
O 6.626 2.557 4.076
O 6.626 5.852 4.365
O 8.248 2.290 1.853
O 8.248 6.119 6.587
```

Space-group type = P222 (16)
Crystal system = orthorhombic



It turns out x is the most stable, with the second structure 91 meV per atom higher.